A relaxed Li3MnAl2O6 crystal, computed with GGA+U.

Symmetry   P2_1/c, No. 14
Energy of formation from the pure elements   -2.70 eV per atom
Crystal system   monoclinic
E above lowest polymorph   0.028 eV per atom

```
data_Li3MnAl2O6
_symmetry_space_group_name_H-M 'P 1'
_symmetry_Int_Tables_number 1
_cell_length_a 5.600
_cell_length_b 9.788
_cell_length_c 11.303
_cell_angle_alpha 54.94
_cell_angle_beta 90.00
_cell_angle_gamma 90.00
loop_
_symmetry_equiv_pos_as_xyz
'x,y,z'
loop_
_atom_site_label
_atom_site_type_symbol
_atom_site_fract_x
_atom_site_fract_y
_atom_site_fract_z
Al1 Al 0.736 0.376 0.895
Al2 Al 0.258 0.127 0.522
Al3 Al 0.758 0.873 0.978
Al4 Al 0.764 0.376 0.395
Al5 Al 0.742 0.873 0.478
Al6 Al 0.264 0.624 0.105
Al7 Al 0.236 0.624 0.605
Al8 Al 0.242 0.127 0.022
Li1 Li 0.244 0.426 0.964
Li2 Li 0.002 0.245 0.236
Li3 Li 0.256 0.426 0.464
Li4 Li 0.253 0.921 0.366
Li5 Li 0.498 0.245 0.736
Li6 Li 0.998 0.755 0.764
Li7 Li 0.747 0.079 0.634
Li8 Li 0.247 0.921 0.866
Li9 Li 0.756 0.574 0.036
Li10 Li 0.753 0.079 0.134
Li11 Li 0.502 0.755 0.264
Li12 Li 0.744 0.574 0.536
Mn1 Mn 0.003 0.752 0.257
Mn2 Mn 0.497 0.752 0.757
Mn3 Mn 0.503 0.248 0.243
Mn4 Mn 0.997 0.248 0.743
O1 O 0.778 0.573 0.367
O2 O 0.722 0.573 0.867
O3 O 0.247 0.107 0.876
O4 O 0.276 0.933 0.692
O5 O 0.994 0.753 0.487
O6 O 0.753 0.893 0.124
O7 O 0.724 0.067 0.308
O8 O 0.007 0.742 0.999
O9 O 0.224 0.933 0.192
O10 O 0.743 0.389 0.732
O11 O 0.776 0.067 0.808
O12 O 0.507 0.258 0.501
O13 O 0.494 0.247 0.013
O14 O 0.222 0.427 0.633
O15 O 0.993 0.258 0.001
O16 O 0.257 0.611 0.268
O17 O 0.006 0.247 0.513
O18 O 0.243 0.611 0.768
O19 O 0.506 0.753 0.987
O20 O 0.747 0.893 0.624
O21 O 0.253 0.107 0.376
O22 O 0.757 0.389 0.232
O23 O 0.493 0.742 0.499
O24 O 0.278 0.427 0.133
```